No. 1
MgFe4P4O16: optimized geometry, PBE with a Hubbard U.

DFT formation energy, meV per atom: -2378
Polymorph energy (0 for the lowest one), meV per atom: 16
MP2020-corrected energy, eV per atom: -7.8299
Size of the total moment, Bohr magnetons per cell: 18.0

Cell lengths 8.5188, 8.8110, 5.2267 Å; angles 88.52, 105.70, 89.08 degrees
Last column: nearest neighbours and their distance in Å.
Atoms (fractional coordinates):
O 0.2982 0.5560 0.1650  1 P 1.55
O 0.3453 0.3226 0.5339  1 P 1.54
O 0.7515 0.9248 0.6824  1 P 1.53
O 0.7018 0.4440 0.8350  1 P 1.55
O 0.6340 0.3868 0.2808  1 P 1.53
O 0.7860 0.1918 0.0769  1 P 1.55
O 0.2485 0.0752 0.3176  1 P 1.53
O 0.8175 0.8594 0.2519  1 P 1.55
O 0.2140 0.8082 0.9231  1 P 1.55
O 0.5406 0.9325 0.2273  1 P 1.58
O 0.1825 0.1406 0.7481  1 P 1.55
O 0.0828 0.5660 0.7260  1 P 1.58
O 0.4594 0.0675 0.7727  1 P 1.58
O 0.9172 0.4340 0.2740  1 P 1.58
O 0.6547 0.6774 0.4661  1 P 1.54
O 0.3660 0.6132 0.7192  1 P 1.53
P 0.2471 0.6381 0.8872  4 O 1.53-1.58
P 0.7529 0.3619 0.1128  4 O 1.53-1.58
P 0.3075 0.1561 0.5819  4 O 1.53-1.58
P 0.6925 0.8439 0.4181  4 O 1.53-1.58
Mg 0.5000 0.5000 0.5000  6 O 2.08-2.14
Fe 0.8442 0.5137 0.6011  4 O 2.02-2.11
Fe 0.1558 0.4863 0.3989  4 O 2.02-2.11
Fe 0.3096 0.9954 0.0265  4 O 1.88-2.02
Fe 0.6904 0.0046 0.9735  4 O 1.88-2.02

No. 2
Fe4O5F3: optimized geometry, PBE with a Hubbard U.

DFT formation energy, meV per atom: -1837
Polymorph energy (0 for the lowest one), meV per atom: 34
MP2020-corrected energy, eV per atom: -7.2011
Size of the total moment, Bohr magnetons per cell: 38.0

Cell lengths 6.0375, 6.4240, 7.0361 Å; angles 90.00, 90.00, 90.00 degrees
Last column: nearest neighbours and their distance in Å.
Atoms (fractional coordinates):
O 0.7402 0.1931 0.2461  3 Fe 1.91-2.01
O 0.7598 0.3069 0.7539  3 Fe 1.91-2.01
O 0.2598 0.1931 0.2461  3 Fe 1.91-2.01
O 0.5000 0.5000 0.4420  3 Fe 1.92-1.99
O 0.7598 0.6931 0.7539  3 Fe 1.91-2.01
O 0.0000 0.0000 0.5580  3 Fe 1.92-1.99
O 0.7402 0.8069 0.2461  3 Fe 1.91-2.01
O 0.2598 0.8069 0.2461  3 Fe 1.91-2.01
O 0.2402 0.3069 0.7539  3 Fe 1.91-2.01
O 0.2402 0.6931 0.7539  3 Fe 1.91-2.01
Fe 0.5000 0.0000 0.2382  4 O 1.91
Fe 0.7371 0.5000 0.2602  3 O 1.92-1.97, 3 F 2.03-2.07
Fe 0.2371 0.0000 0.7398  3 O 1.92-1.97, 3 F 2.03-2.07
Fe 0.2629 0.5000 0.2602  3 O 1.92-1.97, 3 F 2.03-2.07
Fe 0.5000 0.5000 0.7249  5 O 1.99-2.01
Fe 0.0000 0.0000 0.2751  5 O 1.99-2.01
Fe 0.7629 0.0000 0.7398  3 O 1.92-1.97, 3 F 2.03-2.07
Fe 0.0000 0.5000 0.7618  4 O 1.91
F 0.0000 0.5000 0.4398  3 Fe 2.03-2.27
F 0.5000 0.5000 0.0535  2 Fe 2.04
F 0.0000 0.0000 0.9465  2 Fe 2.04
F 0.0000 0.5000 0.0704  3 Fe 2.07-2.17
F 0.5000 0.0000 0.9296  3 Fe 2.07-2.17
F 0.5000 0.0000 0.5602  3 Fe 2.03-2.27

No. 3
Sr7CaMn4Fe4O24: optimized geometry, PBE with a Hubbard U.

DFT formation energy, meV per atom: -2339
MP2020-corrected energy, eV per atom: -7.4170
Size of the total moment, Bohr magnetons per cell: 25.3

Cell lengths 7.8023, 7.8023, 7.8023 Å; angles 89.99, 89.99, 89.99 degrees
Last column: nearest neighbours and their distance in Å.
Atoms (fractional coordinates):
Sr 0.7493 0.2507 0.7493  12 O 2.75-2.79
Sr 0.2507 0.7493 0.2507  12 O 2.75-2.77
Sr 0.2507 0.7493 0.7493  12 O 2.75-2.79
Sr 0.2507 0.2507 0.7493  12 O 2.75-2.77
Sr 0.7493 0.2507 0.2507  12 O 2.75-2.77
Sr 0.7493 0.7493 0.2507  12 O 2.75-2.79
Sr 0.7493 0.7493 0.7493  12 O 2.75-2.77
Fe 0.0006 0.0006 0.0006  6 O 1.92-1.93
Fe 0.0006 0.4994 0.0006  6 O 1.97-1.98
Fe 0.0006 0.0006 0.4994  6 O 1.97-1.98
Fe 0.4994 0.0006 0.0006  6 O 1.97-1.98
O 0.4996 0.7463 0.0005  1 Mn 1.93, 1 Fe 1.98
O 0.0005 0.4996 0.7463  1 Mn 1.93, 1 Fe 1.98
O 0.2471 0.0023 0.0023  2 Fe 1.92-1.97
O 0.4997 0.7490 0.4997  2 Mn 1.95-1.96
O 0.7463 0.0005 0.4996  1 Mn 1.93, 1 Fe 1.98
O 0.2536 0.0024 0.4975  1 Mn 1.92, 1 Fe 1.97
O 0.0005 0.7463 0.4996  1 Mn 1.93, 1 Fe 1.98
O 0.0023 0.0023 0.2471  2 Fe 1.92-1.97
O 0.0005 0.0005 0.7530  2 Fe 1.93-1.98
O 0.7463 0.4996 0.0005  1 Mn 1.93, 1 Fe 1.98
O 0.7530 0.0005 0.0005  2 Fe 1.93-1.98
O 0.0024 0.2536 0.4975  1 Mn 1.92, 1 Fe 1.97
O 0.4996 0.0005 0.7463  1 Mn 1.93, 1 Fe 1.98
O 0.4975 0.0024 0.2536  1 Mn 1.92, 1 Fe 1.97
O 0.0024 0.4975 0.2536  1 Mn 1.92, 1 Fe 1.97
O 0.4972 0.4972 0.2510  2 Mn 1.94-1.95
O 0.4972 0.2510 0.4972  2 Mn 1.94-1.95
O 0.4975 0.2536 0.0024  1 Mn 1.92, 1 Fe 1.97
O 0.0023 0.2471 0.0023  2 Fe 1.92-1.97
O 0.4997 0.4997 0.7490  2 Mn 1.95-1.96
O 0.2536 0.4975 0.0024  1 Mn 1.92, 1 Fe 1.97
O 0.7490 0.4997 0.4997  2 Mn 1.95-1.96
O 0.0005 0.7530 0.0005  2 Fe 1.93-1.98
O 0.2510 0.4972 0.4972  2 Mn 1.94-1.95
Ca 0.2510 0.2510 0.2510  12 O 2.72-2.74
Mn 0.4995 0.4995 0.4995  6 O 1.94-1.95
Mn 0.4995 0.4995 0.0007  6 O 1.92-1.96
Mn 0.4995 0.0007 0.4995  6 O 1.92-1.96
Mn 0.0007 0.4995 0.4995  6 O 1.92-1.96

No. 4
Cr2P3O11: optimized geometry, PBE with a Hubbard U.

DFT formation energy, meV per atom: -2509
MP2020-corrected energy, eV per atom: -8.1321

Cell lengths 7.2228, 7.2229, 8.7958 Å; angles 70.88, 109.12, 107.05 degrees
Last column: nearest neighbours and their distance in Å.
Atoms (fractional coordinates):
O 0.2479 0.6208 0.8176  1 P 1.51
O 0.3732 0.2826 0.0614  1 P 1.52
O 0.7524 0.9470 0.2754  1 P 1.56
O 0.6208 0.2479 0.6824  1 P 1.51
O 0.0530 0.2474 0.7755  1 P 1.56
O 0.7174 0.6269 0.5617  1 P 1.52
O 0.8500 0.4715 0.8713  1 P 1.57
O 0.4715 0.8500 0.6287  1 P 1.57
O 0.1247 0.9847 0.4074  1 P 1.53
O 0.5155 0.5155 0.2500  2 P 1.61
O 0.2826 0.3732 0.4386  1 P 1.52
O 0.4843 0.4843 0.7500  2 P 1.61
O 0.0153 0.8750 0.9073  1 P 1.53
O 0.6269 0.7174 0.9383  1 P 1.52
O 0.3790 0.7521 0.3174  1 P 1.51
O 0.5280 0.1498 0.3711  1 P 1.57
O 0.7521 0.3790 0.1826  1 P 1.51
O 0.2474 0.0530 0.7245  1 P 1.56
O 0.9847 0.1247 0.0926  1 P 1.53
O 0.9470 0.7524 0.2246  1 P 1.56
O 0.8750 0.0153 0.5927  1 P 1.53
O 0.1498 0.5280 0.1289  1 P 1.57
Cr 0.6326 0.8842 0.4570  6 O 1.92-2.11
Cr 0.8842 0.6326 0.0430  6 O 1.92-2.11
Cr 0.1157 0.3670 0.9569  6 O 1.92-2.11
Cr 0.3670 0.1157 0.5431  6 O 1.92-2.11
P 0.6743 0.4552 0.7105  4 O 1.51-1.61
P 0.9595 0.9595 0.2500  4 O 1.53-1.56
P 0.0402 0.0402 0.7500  4 O 1.53-1.56
P 0.5446 0.3255 0.2105  4 O 1.51-1.61
P 0.3255 0.5446 0.2895  4 O 1.51-1.61
P 0.4552 0.6743 0.7895  4 O 1.51-1.61